# LaSe2 r2SCAN optimized geometry
data_LaSe2
_chemical_formula_sum 'La2 Se4'
_space_group_name_H-M_alt 'P 4/n m m'
_space_group_IT_number 129
_cell_length_a 4.225
_cell_length_b 4.225
_cell_length_c 8.695
_cell_angle_alpha 90.00
_cell_angle_beta 90.00
_cell_angle_gamma 90.00
loop_
_space_group_symop_operation_xyz
'x,y,z'
'-x,-y,-z'
'-y+1/2,x,z'
'y+1/2,-x,-z'
'-x+1/2,-y+1/2,z'
'x+1/2,y+1/2,-z'
'y,-x+1/2,z'
'-y,x+1/2,-z'
'x+1/2,-y,-z'
'-x+1/2,y,z'
'-y,-x,-z'
'y,x,z'
'-x,y+1/2,-z'
'x,-y+1/2,z'
'y+1/2,x+1/2,-z'
'-y+1/2,-x+1/2,z'
loop_
_atom_site_label
_atom_site_fract_x
_atom_site_fract_y
_atom_site_fract_z
La1 0.250 0.250 0.225
Se1 0.250 0.250 0.866
Se2 0.250 0.750 0.500
# * calculated volume: 155.21 Å³/cell
# * formation energy: -1.99 eV per atom
# * raw total energy: -64.3 eV/f.u.